[1]
Compound: NaCu2H3S2O10
Source: the Materials Project database
Functional: PBE
Structure: optimized geometry

Properties
ΔE_f	-28.3	eV per formula unit
electronic total energy	-5.50	eV/atom
total magnetic moment	1.99	μB/cell
crystal system	monoclinic

Cell lengths 5.4525, 5.4525, 7.6683 Å; angles 113.97, 113.97, 70.52 degrees
Sites, in units of the cell vectors:
Na  0.0000  0.0000  0.0000
Cu  0.0000  0.5000  0.5000
Cu  0.5000  0.0000  0.5000
H  0.0000  0.0000  0.5000
H  0.2077  0.2077  0.7216
H  0.7923  0.7923  0.2784
S  0.4092  0.4092  0.1994
S  0.5908  0.5908  0.8006
O  0.1555  0.1555  0.5729
O  0.2815  0.6748  0.7439
O  0.2907  0.2907  0.9823
O  0.3076  0.3076  0.3059
O  0.3252  0.7185  0.2561
O  0.6748  0.2815  0.7439
O  0.6924  0.6924  0.6941
O  0.7093  0.7093  0.0177
O  0.7185  0.3252  0.2561
O  0.8445  0.8445  0.4271

[2]
Compound: La2Cu2SeSO2
Source: the Materials Project database
Functional: PBE
Structure: optimized geometry

Properties
ΔE_f	-18.2	eV per formula unit
electronic total energy	-6.49	eV/atom
total magnetic moment	0.00	μB/cell
crystal system	tetragonal

Cell lengths 4.0360, 4.0360, 8.7133 Å; angles 90.00, 90.00, 90.00 degrees
Sites, in units of the cell vectors:
La  0.0000  0.0000  0.0000
La  0.5000  0.5000  0.2871
Cu  0.0000  0.5000  0.6328
Cu  0.5000  0.0000  0.6328
Se  0.5000  0.5000  0.8093
S  0.0000  0.0000  0.4798
O  0.0000  0.5000  0.1437
O  0.5000  0.0000  0.1437

[3]
Compound: TbPd
Source: the Materials Project database
Functional: PBE
Structure: optimized geometry

Properties
ΔE_f	-1.8	eV per formula unit
electronic total energy	-5.82	eV/atom
crystal system	orthorhombic

Cell lengths 5.6139, 5.6139, 4.6303 Å; angles 90.00, 90.00, 141.28 degrees
Sites, in units of the cell vectors:
Tb  0.1370  0.8630  0.7500
Tb  0.8630  0.1370  0.2500
Pd  0.4144  0.5856  0.7500
Pd  0.5856  0.4144  0.2500